DFT (GGA+U) results for Sr2CoCuSO3 after structural relaxation.

Unit cell a=3.8981 b=3.8981 c=16.0150 alpha=90.00 beta=90.00 gamma=90.00
Sites, in units of the cell vectors:
Sr: 0.0000 0.0000 0.0000
Sr: 0.0000 0.0000 0.2195
Sr: 0.5000 0.5000 0.6007
Sr: 0.5000 0.5000 0.8242
Co: 0.0000 0.0000 0.7263
Co: 0.5000 0.5000 0.1016
Cu: 0.0000 0.5000 0.4101
Cu: 0.5000 0.0000 0.4101
S: 0.0000 0.0000 0.4975
S: 0.5000 0.5000 0.3236
O: 0.0000 0.0000 0.8387
O: 0.0000 0.5000 0.1212
O: 0.0000 0.5000 0.6987
O: 0.5000 0.0000 0.1212
O: 0.5000 0.0000 0.6987
O: 0.5000 0.5000 0.9722

Output
**ρ**: 5.156 g/cm³
**Total DFT energy (no corrections)**: -5.64 eV per atom
**Space-group type**: P4mm